Record 1
LaSi10 GGA-PBE relaxed; crystal system = hexagonal; volume = 377.9 Å³/cell; ΔH_f (0 K) = 0.0860 eV/atom; MP2020-corrected energy = -5.295 eV per atom; total magnetization = 0.0 Bohr magnetons per cell; energy = -5.3594 eV per atom
1.0
-6.953 5.417 3.542
1.918 -8.435 3.927
3.165 2.110 2.986
Si La
20 2
Cartesian
-3.673 -0.392 6.128
-1.405 0.967 2.764
0.886 -3.883 7.678
-2.211 0.220 8.061
-1.928 -0.666 4.472
0.341 -1.128 2.394
2.374 1.582 2.239
-2.756 2.975 2.777
1.803 -0.516 4.327
0.058 -0.242 5.983
1.427 -5.905 4.618
0.640 1.929 3.831
-4.537 3.407 4.359
-0.466 -1.875 7.691
3.060 -2.581 4.453
-3.297 4.997 5.837
-2.511 -2.837 6.624
-4.930 1.673 6.001
0.791 0.527 0.746
2.666 -4.315 6.096
-0.248 -3.290 4.545
-1.623 2.382 5.910

---

Record 2
La3Si2 GGA-PBE relaxed; crystal system = tetragonal; volume = 279.4 Å³/cell; ΔH_f (0 K) = -0.6011 eV/atom; MP2020-corrected energy = -5.733 eV per atom; energy = -5.7612 eV per atom
1.0
0.655 -2.263 3.763
-1.937 -6.737 -3.714
7.603 -1.094 -1.982
Si La
4 6
Cartesian
1.245 -6.427 -4.082
0.075 -2.751 -1.668
4.421 -1.403 -1.614
5.591 -5.079 -4.028
2.833 -3.915 -2.848
3.870 -7.422 -2.519
0.000 0.000 0.000
5.965 -4.216 -0.956
0.356 -5.877 -0.978
2.451 -2.671 0.586

---

Record 3
LaSi2 GGA-PBE relaxed; crystal system = tetragonal; volume = 130.5 Å³/cell; ΔH_f (0 K) = -0.6171 eV/atom; MP2020-corrected energy = -5.879 eV per atom; energy = -5.9266 eV per atom
1.0
4.348 0.000 0.000
0.000 4.348 0.000
-2.174 -2.174 6.903
La Si
2 4
Cartesian
0.000 0.000 0.000
0.000 2.174 3.452
2.174 0.000 2.302
0.000 0.000 5.754
2.174 2.174 1.150
2.174 0.000 4.602

---

Record 4
LaSi GGA-PBE relaxed; crystal system = orthorhombic; volume = 204.1 Å³/cell; ΔH_f (0 K) = -0.7153 eV/atom; MP2020-corrected energy = -5.896 eV per atom; energy = -5.9315 eV per atom
1.0
2.284 -6.702 0.000
2.284 6.702 0.000
0.000 0.000 6.667
La Si
4 4
Cartesian
2.284 -3.028 5.000
2.284 0.694 5.000
2.284 3.028 1.667
2.284 -0.694 1.667
2.284 5.477 3.753
2.284 -5.477 2.914
2.284 -5.477 0.420
2.284 5.477 6.247

---

Record 5
La5Si4 GGA-PBE relaxed; crystal system = tetragonal; volume = 1006.1 Å³/cell; ΔH_f (0 K) = -0.6535 eV/atom; MP2020-corrected energy = -5.807 eV per atom; energy = -5.8385 eV per atom
1.0
8.044 0.000 0.000
0.000 8.044 0.000
0.000 0.000 15.547
Si La
16 20
Cartesian
3.379 1.698 12.582
2.324 7.401 0.921
1.698 3.379 2.966
5.397 2.456 7.063
6.670 6.478 12.371
7.401 2.324 14.626
4.666 6.347 4.808
5.588 2.648 0.710
2.456 5.397 8.484
2.648 5.588 14.837
0.643 5.720 6.853
5.720 0.643 8.695
1.566 1.375 10.950
6.478 6.670 3.176
6.347 4.666 10.739
1.375 1.566 4.597
7.034 0.165 5.852
7.954 4.989 0.823
6.493 1.551 11.660
7.879 1.010 1.922
0.090 3.055 8.597
1.551 6.493 3.887
4.989 7.954 14.724
5.573 5.573 7.774
1.010 7.879 13.625
7.077 3.932 4.710
3.012 3.857 5.809
3.055 0.090 6.950
4.187 5.032 1.965
4.113 0.967 3.063
0.967 4.113 12.484
5.032 4.187 13.582
3.932 7.077 10.837
2.471 2.471 0.000
0.165 7.034 9.696
3.857 3.012 9.738

---

Record 6
La2Si3 GGA-PBE relaxed; crystal system = orthorhombic; volume = 124.7 Å³/cell; ΔH_f (0 K) = -0.5972 eV/atom; MP2020-corrected energy = -5.827 eV per atom; energy = -5.8694 eV per atom
1.0
-2.000 2.162 7.212
2.000 -2.162 7.212
2.000 2.162 -7.212
Si La
3 2
Cartesian
0.000 0.000 2.958
2.000 0.000 6.637
2.000 0.000 4.291
0.000 2.162 5.416
0.000 0.000 9.026

---

Record 7
LaSi GGA-PBE relaxed; crystal system = orthorhombic; volume = 205.1 Å³/cell; ΔH_f (0 K) = -0.7029 eV/atom; MP2020-corrected energy = -5.884 eV per atom; energy = -5.9191 eV per atom
1.0
4.007 0.000 0.000
0.000 6.052 0.000
0.000 0.000 8.455
La Si
4 4
Cartesian
1.002 0.685 1.520
1.002 2.341 5.747
3.005 5.367 6.936
3.005 3.711 2.708
3.005 0.707 3.946
1.002 5.346 4.510
3.005 2.319 8.174
1.002 3.733 0.282

---

Record 8
LaY9Si8 GGA-PBE relaxed; crystal system = monoclinic; volume = 852.4 Å³/cell; ΔH_f (0 K) = -0.7400 eV/atom; MP2020-corrected energy = -6.659 eV per atom; total magnetization = 4.4 Bohr magnetons per cell; energy = -6.6903 eV per atom
1.0
-0.819 -2.930 -6.837
2.253 -6.902 2.688
-13.957 -3.434 3.143
Y Si La
18 16 2
Cartesian
-9.159 -4.629 -2.492
-6.838 -9.108 3.236
-5.572 -3.755 -3.305
-6.673 -4.550 -0.109
-13.951 -6.977 -0.661
-1.048 -4.314 -0.634
-10.157 -10.755 1.954
-1.154 -6.765 -3.694
-3.249 -8.228 2.438
1.593 -5.700 1.026
-0.348 -8.336 -0.234
-8.243 -7.690 -0.043
-6.012 -9.295 -2.250
-3.917 -4.275 2.071
-11.487 -6.921 1.706
-11.586 -9.353 -1.309
-2.730 -3.815 -6.005
-12.535 -6.218 -3.778
-13.895 -5.073 1.647
-1.404 -6.135 1.576
-3.802 -3.507 -0.928
1.343 -8.295 -2.892
-2.966 -8.899 -2.884
-9.561 -8.176 3.459
-5.777 -6.735 1.673
-7.445 -5.537 -4.718
-9.738 -5.018 0.359
-5.446 -9.044 0.641
-8.888 -10.359 -1.479
-6.718 -6.428 -2.441
-2.790 -4.475 -3.033
1.028 -6.001 -1.837
-13.180 -5.935 3.932
-10.953 -6.540 -1.203
-8.222 -5.280 3.051
-3.930 -6.661 -0.967

---

Record 9
La14Zn45Si GGA-PBE relaxed; crystal system = monoclinic; volume = 1225.6 Å³/cell; ΔH_f (0 K) = -0.3589 eV/atom; MP2020-corrected energy = -2.546 eV per atom; total magnetization = 0.0 Bohr magnetons per cell; energy = -2.5471 eV per atom
1.0
4.521 0.000 0.000
0.000 15.562 0.000
0.000 0.056 17.420
Zn La Si
45 14 1
Cartesian
2.261 3.899 2.549
2.261 13.282 10.128
2.261 3.925 11.252
0.000 5.739 10.428
0.000 3.052 6.229
2.261 8.992 14.971
0.000 10.818 2.487
2.261 3.106 0.108
0.000 11.556 4.930
0.000 2.432 16.521
0.000 0.527 6.980
2.261 2.337 7.288
0.000 13.189 0.907
0.000 8.153 11.197
2.261 14.426 6.254
2.261 7.780 0.000
0.000 2.121 1.737
0.000 15.086 10.430
0.000 11.836 13.637
0.000 1.202 12.454
0.000 3.796 3.793
2.261 1.189 11.159
0.000 15.230 2.477
2.261 11.664 6.165
0.000 0.400 14.926
0.000 5.455 7.795
2.261 12.504 17.333
0.000 4.059 12.486
0.000 10.171 9.616
0.000 6.632 3.778
0.000 14.410 4.953
0.000 7.325 15.688
2.261 5.511 16.001
2.261 4.695 8.804
0.000 9.897 6.976
0.000 13.518 15.695
2.261 11.716 14.874
0.000 12.566 11.189
0.000 8.313 1.741
2.261 6.639 2.464
2.261 10.886 8.619
2.261 10.084 1.441
0.000 8.995 13.660
0.000 4.798 14.947
2.261 0.029 8.708
0.000 5.236 0.797
2.261 6.522 12.978
2.261 7.804 8.560
0.000 10.404 16.646
2.261 1.332 4.257
2.261 10.435 11.878
2.261 5.231 5.559
2.261 15.615 17.411
2.261 2.658 14.255
2.261 12.951 3.171
2.261 9.047 4.531
0.000 2.596 9.469
2.261 14.297 13.161
0.000 12.996 7.940
0.000 7.473 6.214

---

Record 10
La3Sm GGA-PBE relaxed; crystal system = tetragonal; volume = 145.8 Å³/cell; ΔH_f (0 K) = 0.0257 eV/atom; energy = -4.8560 eV per atom
1.0
6.448 -0.360 0.117
1.947 -2.548 5.608
-4.361 -1.946 -4.350
La Sm
3 1
Cartesian
4.198 -1.454 2.862
0.892 -2.974 2.060
3.143 -1.880 -0.686
0.000 0.000 0.000

---

Record 11
LaSmZn2 GGA-PBE relaxed; crystal system = cubic; volume = 101.8 Å³/cell; ΔH_f (0 K) = -0.3157 eV/atom; energy = -3.3592 eV per atom
1.0
-0.038 -4.216 -3.112
-3.153 -4.039 1.098
-4.158 -0.979 -3.035
Sm Zn La
1 2 1
Cartesian
0.000 0.000 0.000
-1.837 -2.308 -1.262
-5.511 -6.925 -3.787
-3.674 -4.617 -2.525

---

Record 12
La5Sn3 GGA-PBE relaxed; crystal system = hexagonal; volume = 550.5 Å³/cell; ΔH_f (0 K) = -0.6922 eV/atom; energy = -5.2808 eV per atom; energy relative to the lowest polymorph listed for this composition = 12 meV per atom
1.0
4.980 3.041 -7.582
-9.503 -0.942 -0.583
-0.781 6.566 2.121
Sn La
6 10
Cartesian
-2.956 2.923 -4.452
2.453 6.781 -3.036
-2.349 5.743 -1.591
-6.385 4.350 1.235
1.745 2.827 -2.425
-3.899 1.274 0.303
0.653 5.681 -0.295
0.152 1.713 -5.249
-5.066 3.669 -1.856
-3.984 6.502 -4.543
-7.334 0.934 0.092
-2.950 4.690 1.446
-4.675 0.386 -2.916
-1.320 2.164 -1.501
3.546 3.926 -5.165
-0.238 4.997 -4.188